No. 1
Below is a geometry-optimized NdCd2 structure, with properties calculated at the PBE level.

For the formation enthalpy at 0 K, the calculation gives 0.091 eV/atom. The density is 6.781 g/cm3.

The structure belongs to space group P-3m1 (No. 164); the cell edges are 5.5239, 5.5239 and 3.4202 Å and the angles 90.00°, 90.00° and 120.00°. The distinct sites, in fractional coordinates, are Nd at (0.0000, 0.0000, 0.0000) and Cd at (0.3333, 0.6667, 0.9515).

No. 2
Below is a geometry-optimized VCoSi structure, with properties calculated at the PBE level.

For the formation enthalpy at 0 K, the calculation gives -0.576 eV/atom. The density is 6.335 g/cm3.

The structure belongs to space group Pnma (No. 62); the cell edges are 5.961, 3.552 and 6.831 Å and the angles 90.00°, 90.00° and 90.00°. The distinct sites, in fractional coordinates, are V at (0.025, 0.250, 0.178), Co at (0.143, 0.250, 0.561) and Si at (0.233, 0.750, 0.376).

No. 3
Below is a geometry-optimized MgCd structure, with properties calculated at the PBE level.

For the formation enthalpy at 0 K, the calculation gives -0.055 eV/atom. The density is 5.141 g/cm3.

The structure belongs to space group Cm (No. 8); the cell edges are 11.708, 3.198 and 7.314 Å and the angles 90.00°, 104.65° and 90.00°. The distinct sites, in fractional coordinates, are Mg at (0.000, 0.000, 0.000), Mg at (0.053, 0.000, 0.605), Mg at (0.330, 0.000, 0.662), Cd at (0.164, 0.500, 0.332), Cd at (0.219, 0.500, 0.936) and Cd at (0.388, 0.000, 0.276).

No. 4
Below is a geometry-optimized Sr2CeNbO6 structure, with properties calculated at the PBE level.

For the formation enthalpy at 0 K, the calculation gives -3.360 eV/atom. The density is 5.467 g/cm3.

The structure belongs to space group Pn-3 (No. 201, origin choice 2); the cell edges are 8.493, 8.493 and 8.493 Å and the angles 90.00°, 90.00° and 90.00°. The distinct sites, in fractional coordinates, are Sr at (0.250, 0.250, 0.250), Sr at (0.250, 0.250, 0.750), Ce at (0.000, 0.000, 0.000), Nb at (0.000, 0.000, 0.500) and O at (0.034, 0.543, 0.766).

No. 5
Below is a geometry-optimized VSnPt structure, with properties calculated at the PBE level.

For the formation enthalpy at 0 K, the calculation gives -0.296 eV/atom. The density is 10.286 g/cm3.

The structure belongs to space group F-43m (No. 216); the cell edges are 6.176, 6.176 and 6.176 Å and the angles 90.00°, 90.00° and 90.00°. The distinct sites, in fractional coordinates, are V at (0.000, 0.000, 0.000), Sn at (0.000, 0.000, 0.500) and Pt at (0.250, 0.250, 0.750).

No. 6
Below is a geometry-optimized CeSmO2 structure, with properties calculated at the PBE level.

For the formation enthalpy at 0 K, the calculation gives -3.166 eV/atom. The density is 8.681 g/cm3. Its distance to the lowest polymorph of the same formula is 0 meV/atom.

The structure belongs to space group P1 (No. 1); the cell edges are 4.974, 4.984 and 6.096 Å and the angles 65.88°, 65.93° and 89.99°. The distinct sites, in fractional coordinates, are Ce at (0.000, 0.000, 0.000), Ce at (0.250, 0.752, 0.501), Sm at (0.502, 0.500, 0.000), Sm at (0.751, 0.252, 0.501), O at (0.252, 0.255, 0.498), O at (0.499, 0.001, 0.000), O at (0.750, 0.751, 0.501) and O at (0.999, 0.492, 0.007).

No. 7
Below is a geometry-optimized LiInI4 structure, with properties calculated at the PBE level.

For the formation enthalpy at 0 K, the calculation gives -1.001 eV/atom. The density is 4.096 g/cm3.

The structure belongs to space group P2_1/c (No. 14); the cell edges are 8.390, 7.880 and 15.453 Å and the angles 90.00°, 92.78° and 90.00°. The distinct sites, in fractional coordinates, are Li at (0.148, 0.012, 0.376), In at (0.301, 0.175, 0.600), I at (0.059, 0.176, 0.190), I at (0.175, 0.648, 0.064), I at (0.313, 0.184, 0.937) and I at (0.416, 0.680, 0.804).

No. 8
Below is a geometry-optimized Ce2CdAs2O structure, with properties calculated at the PBE level.

For the formation enthalpy at 0 K, the calculation gives -0.518 eV/atom. The density is 5.928 g/cm3.

The structure belongs to space group P4/mmm (No. 123); the cell edges are 3.229, 3.229 and 15.009 Å and the angles 90.00°, 90.00° and 90.00°. The distinct sites, in fractional coordinates, are Ce at (0.000, 0.000, 0.137), Cd at (0.000, 0.000, 0.500), As at (0.000, 0.000, 0.330) and O at (0.000, 0.000, 0.000).